(1)
Compound: Zr5Ir3
Source: the Materials Project
Functional: GGA-PBE
Structure: relaxed

Cell: 8.118 8.118 5.522 Å, 90.00 90.00 120.00°
Positions (direct):
Zr: 0.000 0.244 0.250
Zr: 0.000 0.756 0.750
Zr: 0.244 0.000 0.250
Zr: 0.244 0.244 0.750
Zr: 0.333 0.667 0.000
Zr: 0.333 0.667 0.500
Zr: 0.667 0.333 0.000
Zr: 0.667 0.333 0.500
Zr: 0.756 0.000 0.750
Zr: 0.756 0.756 0.250
Ir: 0.000 0.396 0.750
Ir: 0.000 0.604 0.250
Ir: 0.396 0.000 0.750
Ir: 0.396 0.396 0.250
Ir: 0.604 0.000 0.250
Ir: 0.604 0.604 0.750

(2)
Compound: Zr5Ir3
Source: the Materials Project
Functional: GGA-PBE
Structure: relaxed

Cell: 7.990 7.990 17.226 Å, 90.00 90.00 120.00°
Positions (direct):
Zr: 0.000 0.248 0.333
Zr: 0.000 0.752 0.833
Zr: 0.007 0.238 0.993
Zr: 0.007 0.769 0.174
Zr: 0.231 0.238 0.507
Zr: 0.231 0.993 0.660
Zr: 0.238 0.007 0.340
Zr: 0.238 0.231 0.826
Zr: 0.248 0.000 0.000
Zr: 0.248 0.248 0.167
Zr: 0.252 0.626 0.583
Zr: 0.308 0.654 0.083
Zr: 0.346 0.654 0.417
Zr: 0.346 0.692 0.750
Zr: 0.374 0.626 0.917
Zr: 0.374 0.748 0.250
Zr: 0.626 0.252 0.750
Zr: 0.626 0.374 0.417
Zr: 0.654 0.308 0.250
Zr: 0.654 0.346 0.917
Zr: 0.692 0.346 0.583
Zr: 0.748 0.374 0.083
Zr: 0.752 0.000 0.500
Zr: 0.752 0.752 0.667
Zr: 0.762 0.769 0.326
Zr: 0.762 0.993 0.840
Zr: 0.769 0.007 0.160
Zr: 0.769 0.762 0.007
Zr: 0.993 0.231 0.674
Zr: 0.993 0.762 0.493
Ir: 0.000 0.385 0.833
Ir: 0.000 0.615 0.333
Ir: 0.019 0.413 0.190
Ir: 0.019 0.606 0.977
Ir: 0.385 0.000 0.500
Ir: 0.385 0.385 0.667
Ir: 0.394 0.413 0.310
Ir: 0.394 0.981 0.857
Ir: 0.413 0.019 0.143
Ir: 0.413 0.394 0.023
Ir: 0.587 0.606 0.523
Ir: 0.587 0.981 0.643
Ir: 0.606 0.019 0.357
Ir: 0.606 0.587 0.810
Ir: 0.615 0.000 0.000
Ir: 0.615 0.615 0.167
Ir: 0.981 0.394 0.477
Ir: 0.981 0.587 0.690

Which structure is most stable? (2), by 9 meV per atom over the runner-up.

(1)
Compound: K
Source: the Materials Project
Functional: GGA-PBE
Structure: relaxed

Cell: 4.706 4.706 4.706 Å, 60.00 60.00 60.00°
Positions (direct):
K: 0.000 0.000 0.000

(2)
Compound: K
Source: the Materials Project
Functional: GGA-PBE
Structure: relaxed

Cell: 4.415 4.415 8.440 Å, 104.48 104.48 90.29°
Positions (direct):
K: 0.136 0.864 0.750
K: 0.864 0.136 0.250

Which structure is most stable? (1), by 61 meV per atom over the runner-up.

(1)
Compound: K
Source: the Materials Project
Functional: GGA-PBE
Structure: relaxed

Cell: 11.500 11.500 11.500 Å, 24.04 24.04 24.04°
Positions (direct):
K: 0.000 0.000 0.000
K: 0.222 0.222 0.222
K: 0.778 0.778 0.778

(2)
Compound: K
Source: the Materials Project
Functional: GGA-PBE
Structure: relaxed

Cell: 14.140 14.140 14.140 Å, 109.47 109.47 109.47°
Positions (direct):
K: 0.000 0.000 0.000
K: 0.000 0.000 0.635
K: 0.000 0.190 0.373
K: 0.000 0.373 0.190
K: 0.000 0.404 0.682
K: 0.000 0.635 0.000
K: 0.000 0.682 0.404
K: 0.183 0.810 0.810
K: 0.190 0.000 0.373
K: 0.190 0.373 0.000
K: 0.278 0.596 0.596
K: 0.318 0.318 0.722
K: 0.318 0.722 0.318
K: 0.365 0.365 0.365
K: 0.373 0.000 0.190
K: 0.373 0.190 0.000
K: 0.404 0.000 0.682
K: 0.404 0.682 0.000
K: 0.596 0.278 0.596
K: 0.596 0.596 0.278
K: 0.627 0.627 0.817
K: 0.627 0.817 0.627
K: 0.635 0.000 0.000
K: 0.682 0.000 0.404
K: 0.682 0.404 0.000
K: 0.722 0.318 0.318
K: 0.810 0.183 0.810
K: 0.810 0.810 0.183
K: 0.817 0.627 0.627

(3)
Compound: K
Source: the Materials Project
Functional: GGA-PBE
Structure: relaxed

Cell: 4.706 4.706 15.280 Å, 90.00 90.00 120.00°
Positions (direct):
K: 0.000 0.000 0.000
K: 0.000 0.000 0.500
K: 0.333 0.667 0.250
K: 0.667 0.333 0.750

(4)
Compound: K
Source: the Materials Project
Functional: GGA-PBE
Structure: relaxed

Cell: 6.064 6.064 11.414 Å, 90.00 90.00 90.00°
Positions (direct):
K: 0.000 0.000 0.000
K: 0.000 0.500 0.305
K: 0.000 0.500 0.695
K: 0.500 0.000 0.305
K: 0.500 0.000 0.695

Which structure is most stable? (3), by 11 meV per atom over the runner-up.